[1]
A plane-wave DFT calculation with PBE was carried out for a geometry-optimized BaRuN2 structure.

Properties
- E (MP2020): -0.540 Ry/atom
- Energy: -0.263 Ha/atom
- Energy of formation: -0.377 eV per atom

Structure (extended XYZ):
```
16
Lattice="3.0499 -5.9219 0.0000 3.0499 5.9219 0.0000 0.0000 0.0000 8.0433" Properties=species:S:1:pos:R:3 pbc="T T T"
Ba 3.0499 4.0760 7.5448
Ba 3.0499 1.8458 3.5232
Ba 3.0499 -1.8458 4.5201
Ba 3.0499 -4.0760 0.4985
Ru 3.0499 5.1860 2.9859
Ru 3.0499 0.7359 7.0075
Ru 3.0499 -0.7359 1.0358
Ru 3.0499 -5.1860 5.0574
N 3.0499 4.5288 4.8095
N 1.5249 1.1359 6.0325
N 1.5249 -1.1359 2.0108
N 3.0499 1.3930 0.7878
N 3.0499 -1.3930 7.2554
N 4.5748 1.1359 6.0325
N 4.5748 -1.1359 2.0108
N 3.0499 -4.5288 3.2338
```

---

[2]
A plane-wave DFT calculation with PBE was carried out for a geometry-optimized YMg2Ti3S8 structure.

Properties
- E (MP2020): -0.476 Ry/atom
- Energy: -0.227 Ha/atom
- Energy of formation: -1.730 eV per atom

Structure (extended XYZ):
```
14
Lattice="3.6900 2.1304 6.2776 -3.6900 2.1304 6.2776 0.0000 -4.2609 6.2776" Properties=species:S:1:pos:R:3 pbc="T T T"
Y 0.0000 0.0000 0.0000
Mg 0.0000 0.0000 7.0241
Mg 0.0000 0.0000 11.8086
Ti -3.6900 0.0000 9.4163
Ti -1.8450 1.0652 3.1388
Ti 1.8450 1.0652 3.1388
S -1.9154 -1.1059 10.7886
S 0.0000 0.0000 4.5356
S 0.0000 -2.2117 8.0441
S -1.9154 1.1058 8.0441
S 1.9154 -1.1058 10.7886
S 0.0000 2.2117 10.7886
S 0.0000 0.0000 14.2971
S 1.9154 1.1058 8.0441
```

---

[3]
A plane-wave DFT calculation with PBE was carried out for a geometry-optimized K4Sn9 structure.

Properties
- Energy: -0.123 Ha/atom
- Energy of formation: -0.223 eV per atom

Structure (extended XYZ):
```
52
Lattice="14.4663 0.0000 0.0000 0.0000 8.4689 0.0000 -1.4902 0.0000 16.6580" Properties=species:S:1:pos:R:3 pbc="T T T"
K -0.4432 0.5138 6.4018
K -1.1883 3.7206 14.7307
K 1.4075 0.2540 2.3790
K 0.6625 3.9804 10.7079
K 4.0553 0.5502 9.2068
K 4.8004 3.6842 0.8778
K 5.7884 0.5977 3.9669
K 5.0433 3.6367 12.2959
K 7.9328 4.8321 4.3621
K 7.1878 7.8712 12.6910
K 8.1758 4.7847 15.7801
K 8.9209 7.9186 7.4511
K 12.3137 4.4885 5.9500
K 11.5687 8.2148 14.2790
K 14.1645 4.7483 1.9272
K 13.4194 7.9550 10.2562
Sn 1.1460 5.7574 4.9667
Sn 0.4009 6.9459 13.2956
Sn 1.3871 6.2145 7.9016
Sn 0.6421 6.4889 16.2305
Sn 1.0996 0.9296 15.5163
Sn 1.8447 3.3048 7.1873
Sn 1.8716 1.0244 12.6396
Sn 2.6167 3.2100 4.3106
Sn 2.3026 4.8604 14.2712
Sn 3.0477 7.8429 5.9422
Sn 4.2388 5.7174 4.1173
Sn 3.4937 6.9859 12.4463
Sn 3.9182 4.8210 8.8467
Sn 4.6633 7.8824 0.5177
Sn 4.1494 0.8605 14.6539
Sn 4.8944 3.3739 6.3250
Sn 5.5508 6.2970 6.7950
Sn 4.8057 6.4063 15.1240
Sn 8.1705 2.0626 1.5340
Sn 7.4254 2.1719 9.8630
Sn 8.0817 5.0950 10.3330
Sn 8.8268 7.6083 2.0040
Sn 8.3129 0.5865 16.1403
Sn 9.0580 3.6479 7.8113
Sn 9.4824 1.4830 4.2117
Sn 8.7374 2.7515 12.5407
Sn 9.9285 0.6260 10.7157
Sn 10.6736 3.6085 2.3867
Sn 10.3595 5.2588 12.3473
Sn 11.1046 7.4445 4.0183
Sn 11.1315 5.1641 9.4706
Sn 11.8766 7.5393 1.1417
Sn 12.3341 1.9800 0.4274
Sn 11.5890 2.2544 8.7564
Sn 12.5753 1.5230 3.3623
Sn 11.8302 2.7115 11.6913
```

---

[4]
A plane-wave DFT calculation with PBE was carried out for a geometry-optimized ErFe2Co2B structure.

Properties
- Energy: -0.270 Ha/atom
- Energy of formation: -0.281 eV per atom

Structure (extended XYZ):
```
12
Lattice="2.5209 -4.2965 0.0000 2.5209 4.2965 0.0000 0.0000 0.0000 6.9396" Properties=species:S:1:pos:R:3 pbc="T T T"
Er 0.0000 0.0000 0.0000
Er 0.0000 0.0000 3.4252
Fe 1.2604 2.1483 5.4126
Fe 1.2604 -2.1483 5.4126
Fe 2.5209 0.0000 1.4778
Fe 2.5209 0.0000 5.4274
Co 1.2604 2.1483 1.4352
Co 2.5209 1.4052 3.4395
Co 1.2604 -2.1483 1.4352
Co 2.5209 -1.4052 3.4395
B 2.5209 1.4549 6.9248
B 2.5209 -1.4549 6.9248
```

---

[5]
A plane-wave DFT calculation with PBE was carried out for a geometry-optimized YMnCo structure.

Properties
- Energy: -0.281 Ha/atom
- Energy of formation: -0.073 eV per atom

Structure (extended XYZ):
```
6
Lattice="-2.6018 2.6640 3.6089 2.6018 -2.6640 3.6089 2.6018 2.6640 -3.6089" Properties=species:S:1:pos:R:3 pbc="T T T"
Y 0.0000 1.3320 0.8731
Y 2.6018 1.3320 2.7357
Mn 2.6018 0.0000 0.0000
Mn 0.0000 0.0000 3.6089
Co 1.3009 1.3320 -1.8044
Co 1.3009 -1.3320 1.8044
```

---

[6]
A plane-wave DFT calculation with PBE was carried out for a geometry-optimized SrCuN structure.

Properties
- E (MP2020): -0.387 Ry/atom
- Energy: -0.189 Ha/atom
- Energy of formation: -0.556 eV per atom

Structure (extended XYZ):
```
36
Lattice="9.0753 0.0000 0.0000 0.0000 13.2671 0.0000 0.0000 0.0000 5.3976" Properties=species:S:1:pos:R:3 pbc="T T T"
Sr 0.1961 3.3168 0.0136
Sr 1.4559 7.7783 2.7824
Sr 1.4559 12.1224 2.7824
Sr 3.0818 1.1448 0.0836
Sr 3.0818 5.4888 0.0836
Sr 4.3415 9.9504 2.7124
Sr 4.7338 3.3168 2.6852
Sr 5.9935 7.7783 5.3139
Sr 5.9935 12.1224 5.3139
Sr 7.6194 1.1448 2.6152
Sr 7.6194 5.4888 2.6152
Sr 8.8792 9.9504 5.3840
Cu 0.0000 0.0000 0.0000
Cu 0.0000 6.6336 0.0000
Cu 1.6211 2.0736 2.7726
Cu 1.6211 4.5600 2.7726
Cu 2.9165 8.7071 0.0738
Cu 2.9165 11.1936 0.0738
Cu 4.5377 0.0000 2.6988
Cu 4.5377 6.6336 2.6988
Cu 6.1588 2.0736 5.3238
Cu 6.1588 4.5600 5.3238
Cu 7.4542 8.7071 2.6250
Cu 7.4542 11.1936 2.6250
N 0.7925 1.0687 4.1010
N 0.7925 5.5649 4.1010
N 2.1914 9.9504 4.2349
N 2.3462 3.3168 1.5362
N 3.7451 7.7023 1.4022
N 3.7451 12.1984 1.4022
N 5.3302 1.0687 3.9953
N 5.3302 5.5649 3.9953
N 6.7291 9.9504 3.8614
N 6.8839 3.3168 1.1626
N 8.2828 7.7023 1.2965
N 8.2828 12.1984 1.2965
```

---

[7]
A plane-wave DFT calculation with PBE was carried out for a geometry-optimized YMgTl structure.

Properties
- Energy: -0.120 Ha/atom
- Energy of formation: 0.221 eV per atom

Structure (extended XYZ):
```
3
Lattice="0.0000 3.6130 3.6130 3.6130 0.0000 3.6130 3.6130 3.6130 0.0000" Properties=species:S:1:pos:R:3 pbc="T T T"
Y 0.0000 0.0000 0.0000
Mg 5.4195 5.4195 5.4195
Tl 1.8065 1.8065 1.8065
```

---

[8]
A plane-wave DFT calculation with PBE was carried out for a geometry-optimized TaN structure.

Properties
- E (MP2020): -0.824 Ry/atom
- Energy: -0.405 Ha/atom
- Energy of formation: -1.110 eV per atom

Structure (extended XYZ):
```
4
Lattice="2.9218 0.0000 0.0000 -1.4609 2.5303 0.0000 0.0000 0.0000 5.9165" Properties=species:S:1:pos:R:3 pbc="T T T"
Ta 0.0000 0.0000 0.0000
Ta 0.0000 0.0000 2.9583
N 0.0000 1.6869 1.4791
N 1.4609 0.8434 4.4374
```

---

[9]
A plane-wave DFT calculation with PBE was carried out for a geometry-optimized Na2Pr2MgTi2O8 structure.

Properties
- E (MP2020): -0.561 Ry/atom
- Energy: -0.267 Ha/atom
- Offset from the most stable computed form: 5 meV per atom
- Energy of formation: -3.015 eV per atom

Structure (extended XYZ):
```
15
Lattice="3.6970 0.0000 0.0000 0.0000 3.6970 0.0000 0.0000 0.0000 16.5892" Properties=species:S:1:pos:R:3 pbc="T T T"
Na 0.0000 0.0000 0.0000
Na 1.8485 1.8485 2.1283
Pr 0.0000 0.0000 12.3839
Pr 1.8485 1.8485 9.5335
Mg 1.8485 1.8485 5.7920
Ti 0.0000 0.0000 4.1270
Ti 1.8485 1.8485 14.6296
O 0.0000 0.0000 2.3496
O 0.0000 0.0000 9.9363
O 0.0000 1.8485 4.7502
O 0.0000 1.8485 14.0626
O 1.8485 0.0000 4.7502
O 1.8485 0.0000 14.0626
O 1.8485 1.8485 11.8168
O 1.8485 1.8485 16.4070
```

---

[10]
A plane-wave DFT calculation with PBE was carried out for a geometry-optimized LiDy2Ru structure.

Properties
- Energy: -0.198 Ha/atom
- Energy of formation: -0.286 eV per atom

Structure (extended XYZ):
```
4
Lattice="0.0000 3.4726 3.4726 3.4726 0.0000 3.4726 3.4726 3.4726 0.0000" Properties=species:S:1:pos:R:3 pbc="T T T"
Li 0.0000 0.0000 0.0000
Dy 1.7363 1.7363 1.7363
Dy 5.2089 5.2089 5.2089
Ru 3.4726 3.4726 3.4726
```

---

[11]
A plane-wave DFT calculation with PBE was carried out for a geometry-optimized LaNd3 structure.

Properties
- Energy: -0.176 Ha/atom
- Offset from the most stable computed form: 0 meV per atom
- Energy of formation: 0.016 eV per atom

Structure (extended XYZ):
```
4
Lattice="5.2611 0.0000 0.0000 0.0000 5.2611 0.0000 0.0000 0.0000 5.2611" Properties=species:S:1:pos:R:3 pbc="T T T"
La 0.0000 0.0000 0.0000
Nd 0.0000 2.6305 2.6305
Nd 2.6305 0.0000 2.6305
Nd 2.6305 2.6305 0.0000
```

---

[12]
A plane-wave DFT calculation with PBE was carried out for a geometry-optimized Mg5Si9 structure.

Properties
- E (MP2020): -0.282 Ry/atom
- Energy: -0.143 Ha/atom
- Offset from the most stable computed form: 71 meV per atom
- Energy of formation: 0.222 eV per atom

Structure (extended XYZ):
```
28
Lattice="5.5024 0.0000 0.0000 -2.4585 6.8177 0.0000 -1.2527 -2.0618 13.0584" Properties=species:S:1:pos:R:3 pbc="T T T"
Mg 0.0000 0.0000 0.0000
Mg -1.8231 2.3432 6.6421
Mg -0.7303 3.2390 3.8693
Mg 0.0479 -0.1563 10.6472
Mg -0.9284 4.8123 8.5282
Mg 0.4224 5.1428 1.0616
Mg 1.5936 2.3182 1.8157
Mg 1.0056 3.5266 6.6888
Mg 2.7353 1.4946 9.4378
Mg 4.2039 -0.5372 7.5102
Si -1.9284 1.1879 12.1911
Si -0.3031 0.6473 5.1473
Si -1.9273 4.9613 5.7900
Si -1.8005 3.5561 11.3631
Si -0.0416 1.6943 8.5626
Si 1.7038 -0.1329 2.9958
Si 1.5644 0.5307 7.0309
Si 1.5019 -1.2592 12.8559
Si 0.3855 2.9725 10.6229
Si 0.2491 5.7638 5.0031
Si 1.8563 1.7756 4.6458
Si 1.1819 1.6637 12.5354
Si 2.7883 -0.9026 10.8077
Si 1.9860 4.2923 4.0079
Si 4.5313 0.0498 2.8078
Si 2.0426 4.3387 9.5899
Si 3.1863 4.7656 1.8780
Si 4.3822 2.2077 1.3616
```